A relaxed structure of UCl5, computed with PBE.

Unit cell a=11.2177 b=8.4313 c=12.1397 alpha=47.05 beta=90.00 gamma=90.00
Sites, in units of the cell vectors:
U  0.6345  0.2124  0.3386
U  0.1345  0.7876  0.1614
U  0.3655  0.7876  0.6614
U  0.8655  0.2124  0.8386
Cl  0.8927  0.8310  0.1307
Cl  0.6272  0.5615  0.0734
Cl  0.3554  0.8077  0.1463
Cl  0.6073  0.8310  0.6307
Cl  0.1274  0.5965  0.0730
Cl  0.3715  0.9944  0.7390
Cl  0.6274  0.4035  0.4270
Cl  0.6285  0.0056  0.2610
Cl  0.8728  0.5615  0.5734
Cl  0.6446  0.1923  0.8537
Cl  0.1073  0.1690  0.8693
Cl  0.3728  0.4385  0.9266
Cl  0.8554  0.1923  0.3537
Cl  0.1285  0.9944  0.2390
Cl  0.1272  0.4385  0.4266
Cl  0.8715  0.0056  0.7610
Cl  0.3927  0.1690  0.3693
Cl  0.8726  0.4035  0.9270
Cl  0.3726  0.5965  0.5730
Cl  0.1446  0.8077  0.6463

The calculation puts the volume at 840 Å³/cell. Its space group is No. 14. The energy above the most stable polymorph in this dataset comes out at 0.0030 eV per atom.


A relaxed structure of U3Cl, computed with PBE.

Unit cell a=5.4724 b=5.4724 c=5.4724 alpha=136.22 beta=136.22 gamma=63.64
Sites, in units of the cell vectors:
U  0.7500  0.2500  0.5000
U  0.2500  0.7500  0.5000
U  0.5000  0.5000  0.0000
Cl  0.0000  0.0000  0.0000

The calculation puts the volume at 77 Å³/cell. Its space group is No. 139. The energy above the most stable polymorph in this dataset comes out at 0.0110 eV per atom.


A relaxed structure of UCl5, computed with PBE.

Unit cell a=6.9134 b=7.5458 c=10.2672 alpha=108.55 beta=91.04 gamma=116.20
Sites, in units of the cell vectors:
U  0.1039  0.2118  0.2113
U  0.8961  0.7882  0.7887
Cl  0.9378  0.1922  0.4204
Cl  0.0622  0.8078  0.5796
Cl  0.2302  0.1710  0.9575
Cl  0.7698  0.8290  0.0425
Cl  0.1028  0.6182  0.8477
Cl  0.8972  0.3818  0.1523
Cl  0.6994  0.9767  0.7478
Cl  0.3006  0.0233  0.2522
Cl  0.5681  0.4397  0.6735
Cl  0.4319  0.5603  0.3265

The calculation puts the volume at 448 Å³/cell. Its space group is No. 2. The energy above the most stable polymorph in this dataset comes out at 0.0000 eV per atom.


A relaxed structure of UCl6, computed with PBE.

Unit cell a=11.8484 b=11.8484 c=6.4680 alpha=90.00 beta=90.00 gamma=120.00
Sites, in units of the cell vectors:
U  0.6667  0.3333  0.5149
U  0.3333  0.6667  0.4851
U  0.0000  0.0000  0.0000
Cl  0.2351  0.7649  0.7055
Cl  0.2351  0.4702  0.7055
Cl  0.5298  0.7649  0.7055
Cl  0.0982  0.9018  0.2212
Cl  0.0982  0.1963  0.2212
Cl  0.8037  0.9018  0.2212
Cl  0.1963  0.0982  0.7788
Cl  0.9018  0.8037  0.7788
Cl  0.9018  0.0982  0.7788
Cl  0.4318  0.5682  0.2651
Cl  0.4318  0.8635  0.2651
Cl  0.1365  0.5682  0.2651
Cl  0.8635  0.4318  0.7349
Cl  0.5682  0.1365  0.7349
Cl  0.5682  0.4318  0.7349
Cl  0.7649  0.2351  0.2945
Cl  0.7649  0.5298  0.2945
Cl  0.4702  0.2351  0.2945

The raw total energy comes out at -98.61 eV for the cell shown. The calculation puts the volume at 786 Å³/cell. Its space group is No. 164.


A relaxed structure of U3Cl, computed with PBE.

Unit cell a=4.2454 b=4.2454 c=4.2454 alpha=90.00 beta=90.00 gamma=90.00
Sites, in units of the cell vectors:
U  0.0000  0.5000  0.5000
U  0.5000  0.0000  0.5000
U  0.5000  0.5000  0.0000
Cl  0.0000  0.0000  0.0000

The calculation puts the volume at 77 Å³/cell. Its space group is No. 221. The energy above the most stable polymorph in this dataset comes out at 0.0000 eV per atom.


A relaxed structure of UCl3, computed with PBE.

Unit cell a=7.5176 b=7.5176 c=4.2555 alpha=90.00 beta=90.00 gamma=120.00
Sites, in units of the cell vectors:
U  0.6667  0.3333  0.7500
U  0.3333  0.6667  0.2500
Cl  0.6109  0.6958  0.7500
Cl  0.9151  0.6109  0.2500
Cl  0.3891  0.3042  0.2500
Cl  0.0849  0.3891  0.7500
Cl  0.3042  0.9151  0.7500
Cl  0.6958  0.0849  0.2500

The raw total energy comes out at -47.34 eV for the cell shown. The calculation puts the volume at 208 Å³/cell. Its space group is No. 176.